Nd3HfSb5 PBE optimized geometry; space group = No. 193; MP2020-corrected energy = -108.43 eV for the cell shown; crystal system = hexagonal; total energy = -53.3 eV per formula unit; E_form = -1.034 eV per atom
1.0
4.751 -8.229 0.000
4.751 8.229 0.000
0.000 0.000 6.354
Nd Hf Sb
6 2 10
Direct
0.618 0.000 0.250
0.382 0.000 0.750
0.000 0.618 0.250
0.000 0.382 0.750
0.382 0.382 0.250
0.618 0.618 0.750
0.000 0.000 0.000
0.000 0.000 0.500
0.262 0.000 0.250
0.738 0.000 0.750
0.000 0.262 0.250
0.000 0.738 0.750
0.738 0.738 0.250
0.262 0.262 0.750
0.333 0.667 0.000
0.667 0.333 0.000
0.667 0.333 0.500
0.333 0.667 0.500